# 1
The following is a DFT calculation (PBE) of an optimized crystal structure of Er2RuRh.

total energy	-7.13	eV per atom
SG	Fm-3m (225)

a b c (Å): 4.7857 4.7857 4.7857
angles (deg): 60.00 60.00 60.00
With the nearest neighbours (Å) after each atom.
Sites, in units of the cell vectors:
Er (0.2500, 0.2500, 0.2500)  4 Ru 2.93, 4 Rh 2.93
Er (0.7500, 0.7500, 0.7500)  4 Ru 2.93, 4 Rh 2.93
Ru (0.0000, 0.0000, 0.0000)  8 Er 2.93
Rh (0.5000, 0.5000, 0.5000)  8 Er 2.93

=====

# 2
The following is a DFT calculation (PBE) of an optimized crystal structure of ErSbRh2.

total energy	-6.60	eV per atom
SG	Fm-3m (225)

a b c (Å): 4.6935 4.6935 4.6935
angles (deg): 60.00 60.00 60.00
With the nearest neighbours (Å) after each atom.
Sites, in units of the cell vectors:
Er (0.0000, 0.0000, 0.0000)  8 Rh 2.87
Sb (0.5000, 0.5000, 0.5000)  8 Rh 2.87
Rh (0.2500, 0.2500, 0.2500)  4 Sb 2.87, 4 Er 2.87
Rh (0.7500, 0.7500, 0.7500)  4 Sb 2.87, 4 Er 2.87